(1)
Entry from Materials Project: a relaxed Sr2DyCu2Bi2O8 crystal (PBE).

Unit cell a=15.524 b=15.524 c=15.524 alpha=165.97 beta=165.97 gamma=19.90
Sites, in units of the cell vectors:
Sr 0.114 0.114 0.000
Sr 0.886 0.886 0.000
Dy 0.000 0.000 0.000
Cu 0.448 0.448 0.000
Cu 0.552 0.552 0.000
Bi 0.297 0.297 0.000
Bi 0.703 0.703 0.000
O 0.549 0.049 0.500
O 0.451 0.951 0.500
O 0.049 0.549 0.500
O 0.951 0.451 0.500
O 0.201 0.201 0.000
O 0.799 0.799 0.000
O 0.366 0.366 0.000
O 0.634 0.634 0.000

## Properties
* energy relative to the lowest polymorph listed for this composition: 22 meV/atom

***

(2)
Entry from Materials Project: a relaxed Sr2ErCu2Bi2O8 crystal (PBE).

Unit cell a=15.460 b=15.460 c=15.460 alpha=165.95 beta=165.95 gamma=19.91
Sites, in units of the cell vectors:
Sr 0.115 0.115 0.000
Sr 0.885 0.885 0.000
Er 0.000 0.000 0.000
Cu 0.448 0.448 0.000
Cu 0.552 0.552 0.000
Bi 0.296 0.296 0.000
Bi 0.704 0.704 0.000
O 0.548 0.048 0.500
O 0.452 0.952 0.500
O 0.048 0.548 0.500
O 0.952 0.452 0.500
O 0.202 0.202 0.000
O 0.798 0.798 0.000
O 0.365 0.365 0.000
O 0.635 0.635 0.000

## Properties
* uncorrected energy: -6.03 eV per atom

***

(3)
Entry from Materials Project: a relaxed Sr2EuCu2Bi2O8 crystal (PBE).

Unit cell a=15.916 b=15.916 c=15.916 alpha=166.30 beta=166.30 gamma=19.43
Sites, in units of the cell vectors:
Sr 0.112 0.112 0.000
Sr 0.888 0.888 0.000
Eu 0.000 0.000 0.000
Cu 0.446 0.446 0.000
Cu 0.554 0.554 0.000
Bi 0.297 0.297 0.000
Bi 0.703 0.703 0.000
O 0.553 0.053 0.500
O 0.447 0.947 0.500
O 0.053 0.553 0.500
O 0.947 0.447 0.500
O 0.203 0.203 0.000
O 0.797 0.797 0.000
O 0.364 0.364 0.000
O 0.636 0.636 0.000

## Properties
* uncorrected energy: -6.30 eV per atom

***

(4)
Entry from Materials Project: a relaxed Na2CuBiF6 crystal (PBE).

Unit cell a=6.262 b=6.262 c=6.262 alpha=60.00 beta=60.00 gamma=60.00
Sites, in units of the cell vectors:
Na 0.750 0.750 0.750
Na 0.250 0.250 0.250
Cu 0.500 0.500 0.500
Bi 0.000 0.000 0.000
F 0.743 0.257 0.257
F 0.257 0.257 0.743
F 0.257 0.743 0.743
F 0.257 0.743 0.257
F 0.743 0.257 0.743
F 0.743 0.743 0.257

## Properties
* uncorrected energy: -4.26 eV per atom

***

(5)
Entry from Materials Project: a relaxed Rb2CuBiF6 crystal (PBE).

Unit cell a=6.397 b=6.397 c=6.397 alpha=60.00 beta=60.00 gamma=60.00
Sites, in units of the cell vectors:
Rb 0.250 0.250 0.250
Rb 0.750 0.750 0.750
Cu 0.500 0.500 0.500
Bi 0.000 0.000 0.000
F 0.253 0.747 0.253
F 0.747 0.747 0.253
F 0.747 0.253 0.747
F 0.747 0.253 0.253
F 0.253 0.747 0.747
F 0.253 0.253 0.747

## Properties
* uncorrected energy: -4.38 eV per atom

***

(6)
Entry from Materials Project: a relaxed Gd5CuBi3 crystal (PBE).

Unit cell a=9.443 b=9.443 c=6.521 alpha=90.00 beta=90.00 gamma=120.00
Sites, in units of the cell vectors:
Gd 0.254 0.254 0.750
Gd 0.746 0.746 0.250
Gd 0.333 0.667 0.500
Gd 0.254 0.000 0.250
Gd 0.667 0.333 0.500
Gd 0.000 0.746 0.750
Gd 0.667 0.333 0.000
Gd 0.000 0.254 0.250
Gd 0.746 0.000 0.750
Gd 0.333 0.667 0.000
Cu 0.000 0.000 0.000
Cu 0.000 0.000 0.500
Bi 0.386 0.000 0.750
Bi 0.614 0.000 0.250
Bi 0.614 0.614 0.750
Bi 0.000 0.614 0.250
Bi 0.000 0.386 0.750
Bi 0.386 0.386 0.250

## Properties
* uncorrected energy: -10.25 eV per atom